Model one:
# PBE with a Hubbard U Li8Mn5Fe3B8O24, optimized geometry
data_Li8Mn5Fe3B8O24
_symmetry_space_group_name_H-M 'P 1'
_symmetry_Int_Tables_number 1
_symmetry_space_group_name_Hall 'P 1'
_cell_length_a 5.2319
_cell_length_b 6.0438
_cell_length_c 16.2522
_cell_angle_alpha 82.25
_cell_angle_beta 88.79
_cell_angle_gamma 89.20
loop_
_atom_site_label
_atom_site_fract_x
_atom_site_fract_y
_atom_site_fract_z
Li1 0.0000 0.0000 0.0000
Li2 0.0003 0.4985 0.5004
Li3 0.1961 0.3744 0.0317
Li4 0.1983 0.8741 0.5325
Li5 0.4993 0.2477 0.2513
Li6 0.4998 0.7488 0.7500
Li7 0.6983 0.1232 0.7813
Li8 0.6982 0.6237 0.2834
Mn1 0.0157 0.5854 0.6825
Mn2 0.0168 0.0852 0.1825
Mn3 0.5151 0.3354 0.4323
Mn4 0.5150 0.8358 0.9315
Mn5 0.6814 0.5365 0.1020
Fe1 0.1853 0.7856 0.3524
Fe2 0.1871 0.2869 0.8521
Fe3 0.6765 0.0373 0.6029
B1 0.0193 0.2748 0.3437
B2 0.0190 0.7749 0.8437
B3 0.1774 0.0968 0.6893
B4 0.1791 0.5972 0.1908
B5 0.5182 0.0267 0.0932
B6 0.5191 0.5253 0.5936
B7 0.6771 0.3486 0.9382
B8 0.6778 0.8480 0.4395
O1 0.0289 0.7313 0.2374
O2 0.0327 0.2302 0.7381
O3 0.0564 0.9806 0.6335
O4 0.0634 0.4797 0.1337
O5 0.1343 0.8945 0.9000
O6 0.1350 0.3938 0.4001
O7 0.1695 0.1379 0.2982
O8 0.1701 0.6387 0.7981
O9 0.2585 0.0477 0.0795
O10 0.2588 0.5472 0.5799
O11 0.4390 0.5763 0.2042
O12 0.4396 0.0755 0.6997
O13 0.5296 0.4808 0.9857
O14 0.5340 0.9809 0.4878
O15 0.5547 0.7320 0.3831
O16 0.5565 0.2331 0.8810
O17 0.6345 0.1449 0.1498
O18 0.6358 0.6432 0.6501
O19 0.6694 0.3893 0.5479
O20 0.6692 0.8916 0.0471
O21 0.7595 0.2967 0.3300
O22 0.7596 0.7971 0.8295
O23 0.9374 0.3250 0.9499
O24 0.9386 0.8247 0.4501
# Density   3.158 Mg/m³
# Crystal system   triclinic

=====

Model two:
# PBE with a Hubbard U Li8Mn5Fe3B8O24, optimized geometry
data_Li8Mn5Fe3B8O24
_symmetry_space_group_name_H-M 'P 1'
_symmetry_Int_Tables_number 1
_symmetry_space_group_name_Hall 'P 1'
_cell_length_a 5.2405
_cell_length_b 5.2503
_cell_length_c 20.9371
_cell_angle_alpha 90.91
_cell_angle_beta 90.63
_cell_angle_gamma 119.77
loop_
_atom_site_label
_atom_site_fract_x
_atom_site_fract_y
_atom_site_fract_z
Li1 0.0000 0.0000 0.0000
Li2 0.0007 0.0022 0.5008
Li3 0.0278 0.9740 0.2503
Li4 0.0284 0.9781 0.7508
Li5 0.3298 0.3165 0.6262
Li6 0.3306 0.3151 0.1252
Li7 0.3409 0.3045 0.3756
Li8 0.3450 0.3088 0.8747
Mn1 0.0073 0.6491 0.3930
Mn2 0.3561 0.6496 0.2677
Mn3 0.6753 0.9827 0.1423
Mn4 0.6767 0.3270 0.5190
Mn5 0.6782 0.3325 0.0166
Fe1 0.0046 0.6507 0.8920
Fe2 0.3549 0.6632 0.7674
Fe3 0.6740 0.9746 0.6441
B1 0.0079 0.6444 0.6469
B2 0.0132 0.6481 0.1463
B3 0.3372 0.6567 0.0204
B4 0.3384 0.6557 0.5225
B5 0.6742 0.9834 0.8952
B6 0.6745 0.9872 0.3967
B7 0.6805 0.3109 0.2716
B8 0.6805 0.3153 0.7713
O1 0.0243 0.9177 0.6532
O2 0.0374 0.9221 0.1535
O3 0.1006 0.6852 0.5015
O4 0.1005 0.6864 0.9998
O5 0.2565 0.6151 0.1616
O6 0.2589 0.6246 0.6614
O7 0.3082 0.3808 0.0279
O8 0.3092 0.3799 0.5297
O9 0.4055 0.2812 0.2789
O10 0.4110 0.2968 0.7774
O11 0.4263 0.7228 0.8762
O12 0.4322 0.7236 0.3755
O13 0.6083 0.9053 0.5381
O14 0.6082 0.9072 0.0358
O15 0.6407 0.2305 0.4121
O16 0.6548 0.2357 0.9097
O17 0.7032 0.0688 0.7521
O18 0.7119 0.0736 0.2507
O19 0.7473 0.3963 0.6278
O20 0.7494 0.4064 0.1251
O21 0.9312 0.5819 0.2866
O22 0.9388 0.5803 0.7858
O23 0.9469 0.0004 0.9016
O24 0.9476 0.0114 0.4042
# Density   3.216 Mg/m³
# Crystal system   triclinic

=====

Most stable one: model one, least stable one: model two.

=====

Model one:
# PBE with a Hubbard U LiCo2OF3, optimized geometry
data_LiCo2OF3
_symmetry_space_group_name_H-M 'C 1 2 1'
_symmetry_Int_Tables_number 5
_symmetry_space_group_name_Hall 'C 2y'
_cell_length_a 10.4453
_cell_length_b 6.0853
_cell_length_c 6.0624
_cell_angle_alpha 90.00
_cell_angle_beta 124.05
_cell_angle_gamma 90.00
loop_
_atom_site_label
_atom_site_fract_x
_atom_site_fract_y
_atom_site_fract_z
Li1 0.0000 0.0000 0.0000
Li2 0.0000 0.9999 0.5000
Co1 0.1367 0.5000 0.4309
Co2 0.2494 0.2495 0.9986
O1 0.2410 0.0008 0.1937
F1 0.0011 0.2386 0.7435
F2 0.0008 0.7626 0.7435
F3 0.2357 0.0018 0.7244
# Density   4.115 Mg/m³
# Crystal system   monoclinic

=====

Model two:
# PBE with a Hubbard U LiCo2OF3, optimized geometry
data_LiCo2OF3
_symmetry_space_group_name_H-M 'P 1 2 1'
_symmetry_Int_Tables_number 3
_symmetry_space_group_name_Hall 'P 2y'
_cell_length_a 6.1694
_cell_length_b 6.1285
_cell_length_c 8.4963
_cell_angle_alpha 90.00
_cell_angle_beta 90.50
_cell_angle_gamma 90.00
loop_
_atom_site_label
_atom_site_fract_x
_atom_site_fract_y
_atom_site_fract_z
Li1 0.0000 0.0000 0.0000
Li2 0.2342 0.2351 0.7490
Li3 0.5000 0.9973 0.0000
Co1 0.0000 0.4404 0.5000
Co2 0.2205 0.4797 0.1320
Co3 0.2365 0.7239 0.7550
Co4 0.2604 0.0027 0.3741
Co5 0.5000 0.4459 0.5000
O1 0.0217 0.4960 0.7350
O2 0.2579 0.2433 0.5092
F1 0.0091 0.9833 0.7626
F2 0.2485 0.2169 0.9963
F3 0.2485 0.7507 0.9987
F4 0.2741 0.7225 0.5046
F5 0.4756 0.9668 0.7640
F6 0.4880 0.4821 0.7549
# Density   4.090 Mg/m³
# Crystal system   monoclinic

=====

Most stable one: model one, least stable one: model two.

=====

Model one:
# PBE with a Hubbard U CaMo2O4, optimized geometry
data_CaMo2O4
_symmetry_space_group_name_H-M 'C 1 2/m 1'
_symmetry_Int_Tables_number 12
_symmetry_space_group_name_Hall '-C 2y'
_cell_length_a 14.2220
_cell_length_b 3.3232
_cell_length_c 9.8416
_cell_angle_alpha 90.00
_cell_angle_beta 125.07
_cell_angle_gamma 90.00
loop_
_atom_site_label
_atom_site_fract_x
_atom_site_fract_y
_atom_site_fract_z
Ca1 0.1604 0.0000 0.1772
Mo1 0.1367 0.0000 0.8310
Mo2 0.1381 0.5000 0.4711
O1 0.0463 0.0000 0.3029
O2 0.1323 0.5000 0.6917
O3 0.1648 0.5000 0.0084
O4 0.2409 0.5000 0.3748
# Density   5.163 Mg/m³
# Crystal system   monoclinic

=====

Model two:
# PBE with a Hubbard U CaMo2O4, optimized geometry
data_CaMo2O4
_symmetry_space_group_name_H-M 'C m c m'
_symmetry_Int_Tables_number 63
_symmetry_space_group_name_Hall '-C 2c 2'
_cell_length_a 3.2225
_cell_length_b 10.5473
_cell_length_c 10.5163
_cell_angle_alpha 90.00
_cell_angle_beta 90.00
_cell_angle_gamma 90.00
loop_
_atom_site_label
_atom_site_fract_x
_atom_site_fract_y
_atom_site_fract_z
Ca1 0.0000 0.1150 0.2500
Mo1 0.0000 0.3673 0.0716
O1 0.0000 0.0000 0.0000
O2 0.0000 0.2648 0.6108
O3 0.0000 0.4620 0.2500
# Density   5.500 Mg/m³
# Crystal system   orthorhombic

=====

Most stable one: model two, least stable one: model one.

=====

Model one:
# PBE with a Hubbard U MgFe8O8F8, optimized geometry
data_MgFe8O8F8
_symmetry_space_group_name_H-M 'P 1 m 1'
_symmetry_Int_Tables_number 6
_symmetry_space_group_name_Hall 'P -2y'
_cell_length_a 9.8069
_cell_length_b 3.1063
_cell_length_c 9.8187
_cell_angle_alpha 90.00
_cell_angle_beta 93.51
_cell_angle_gamma 90.00
loop_
_atom_site_label
_atom_site_fract_x
_atom_site_fract_y
_atom_site_fract_z
Mg1 0.0000 0.0000 0.0000
Fe1 0.0116 0.5000 0.7231
Fe2 0.2744 0.0000 0.0357
Fe3 0.2844 0.0000 0.5085
Fe4 0.4896 0.5000 0.2839
Fe5 0.5108 0.5000 0.7454
Fe6 0.7028 0.0000 0.0787
Fe7 0.7176 0.0000 0.5192
Fe8 0.9839 0.5000 0.2744
O1 0.1385 0.5000 0.0710
O2 0.3586 0.5000 0.4270
O3 0.3899 0.0000 0.1866
O4 0.4093 0.0000 0.6800
O5 0.5994 0.0000 0.3640
O6 0.6155 0.5000 0.1251
O7 0.6549 0.5000 0.6225
O8 0.8850 0.0000 0.1555
F1 0.1061 0.0000 0.3680
F2 0.1144 0.0000 0.8344
F3 0.1677 0.5000 0.5954
F4 0.3638 0.5000 0.9267
F5 0.6169 0.0000 0.8767
F6 0.8419 0.5000 0.4269
F7 0.8982 0.5000 0.9054
F8 0.8992 0.0000 0.6428
# Density   4.177 Mg/m³
# Crystal system   monoclinic

=====

Model two:
# PBE with a Hubbard U MgFe8O8F8, optimized geometry
data_MgFe8O8F8
_symmetry_space_group_name_H-M 'P 1 m 1'
_symmetry_Int_Tables_number 6
_symmetry_space_group_name_Hall 'P -2y'
_cell_length_a 9.7878
_cell_length_b 3.1416
_cell_length_c 9.8212
_cell_angle_alpha 90.00
_cell_angle_beta 94.93
_cell_angle_gamma 90.00
loop_
_atom_site_label
_atom_site_fract_x
_atom_site_fract_y
_atom_site_fract_z
Mg1 0.0000 0.0000 0.0000
Fe1 0.0020 0.0000 0.2961
Fe2 0.0665 0.0000 0.7213
Fe3 0.2872 0.5000 0.5317
Fe4 0.2963 0.5000 0.9726
Fe5 0.5296 0.0000 0.2763
Fe6 0.5403 0.0000 0.7392
Fe7 0.6375 0.5000 0.9949
Fe8 0.7471 0.5000 0.5212
O1 0.1324 0.5000 0.6277
O2 0.1860 0.0000 0.9099
O3 0.3817 0.0000 0.6094
O4 0.4575 0.5000 0.8793
O5 0.5916 0.5000 0.1773
O6 0.6276 0.5000 0.6648
O7 0.6676 0.0000 0.4225
O8 0.6851 0.0000 0.9072
F1 0.0846 0.5000 0.1351
F2 0.1874 0.0000 0.3958
F3 0.3620 0.0000 0.1129
F4 0.4171 0.5000 0.3603
F5 0.8655 0.0000 0.1342
F6 0.8673 0.0000 0.6163
F7 0.9099 0.5000 0.3915
F8 0.9536 0.5000 0.8811
# Density   4.145 Mg/m³
# Crystal system   monoclinic

=====

Model three:
# PBE with a Hubbard U MgFe8O8F8, optimized geometry
data_MgFe8O8F8
_symmetry_space_group_name_H-M 'P 1 m 1'
_symmetry_Int_Tables_number 6
_symmetry_space_group_name_Hall 'P -2y'
_cell_length_a 9.7150
_cell_length_b 3.1122
_cell_length_c 9.7846
_cell_angle_alpha 90.00
_cell_angle_beta 93.57
_cell_angle_gamma 90.00
loop_
_atom_site_label
_atom_site_fract_x
_atom_site_fract_y
_atom_site_fract_z
Mg1 0.0000 0.0000 0.0000
Fe1 0.2249 0.0000 0.5091
Fe2 0.2976 0.0000 0.9214
Fe3 0.4780 0.5000 0.2375
Fe4 0.4892 0.5000 0.7025
Fe5 0.7356 0.0000 0.9810
Fe6 0.7673 0.0000 0.4972
Fe7 0.9490 0.5000 0.2580
Fe8 0.9968 0.5000 0.7334
O1 0.1186 0.0000 0.8444
O2 0.1431 0.5000 0.5915
O3 0.3863 0.5000 0.8669
O4 0.4017 0.0000 0.6197
O5 0.8312 0.5000 0.4024
O6 0.8762 0.0000 0.1574
O7 0.8818 0.5000 0.9070
O8 0.8973 0.0000 0.6494
F1 0.0752 0.0000 0.3469
F2 0.1027 0.5000 0.1019
F3 0.3155 0.5000 0.3841
F4 0.3669 0.0000 0.1194
F5 0.5791 0.0000 0.3414
F6 0.6100 0.0000 0.8001
F7 0.6189 0.5000 0.0752
F8 0.6464 0.5000 0.5761
# Density   4.224 Mg/m³
# Crystal system   monoclinic

=====

Most stable one: model three, least stable one: model one.

=====

Model one:
# PBE with a Hubbard U Li2Mn3FeO8, optimized geometry
data_Li2Mn3FeO8
_symmetry_space_group_name_H-M 'R 3 m'
_symmetry_Int_Tables_number 160
_symmetry_space_group_name_Hall 'R 3 -2"'
_cell_length_a 5.9332
_cell_length_b 5.9332
_cell_length_c 14.4672
_cell_angle_alpha 90.00
_cell_angle_beta 90.00
_cell_angle_gamma 120.00
loop_
_atom_site_label
_atom_site_fract_x
_atom_site_fract_y
_atom_site_fract_z
Li1 0.0000 0.0000 0.0000
Li2 0.0000 0.0000 0.3820
Mn1 0.1710 0.3420 0.8294
Fe1 0.0000 0.0000 0.6147
O1 0.0000 0.0000 0.2392
O2 0.0000 0.0000 0.7531
O3 0.0293 0.5147 0.7596
O4 0.1763 0.3527 0.5716
# Density   4.095 Mg/m³
# Crystal system   trigonal

=====

Model two:
# PBE with a Hubbard U Li2Mn3FeO8, optimized geometry
data_Li2Mn3FeO8
_symmetry_space_group_name_H-M 'P 1'
_symmetry_Int_Tables_number 1
_symmetry_space_group_name_Hall 'P 1'
_cell_length_a 5.8143
_cell_length_b 5.8713
_cell_length_c 9.5246
_cell_angle_alpha 90.06
_cell_angle_beta 90.54
_cell_angle_gamma 118.53
loop_
_atom_site_label
_atom_site_fract_x
_atom_site_fract_y
_atom_site_fract_z
Li1 0.0000 0.0000 0.0000
Li2 0.0093 0.9862 0.5008
Li3 0.3334 0.6574 0.1095
Li4 0.6767 0.3294 0.6061
Mn1 0.1703 0.8225 0.7832
Mn2 0.1771 0.3332 0.7820
Mn3 0.3470 0.1629 0.2850
Mn4 0.6639 0.8271 0.7836
Mn5 0.8363 0.6531 0.2799
Mn6 0.8385 0.1634 0.2846
Fe1 0.3512 0.6672 0.5045
Fe2 0.6645 0.3188 0.0065
O1 0.0227 0.0216 0.1852
O2 0.0482 0.5212 0.6626
O3 0.1684 0.3145 0.3995
O4 0.1777 0.8359 0.3926
O5 0.3194 0.1494 0.8944
O6 0.3433 0.6687 0.8906
O7 0.4781 0.9589 0.6656
O8 0.5144 0.4641 0.1637
O9 0.5165 0.5411 0.6538
O10 0.5255 0.0300 0.1655
O11 0.6605 0.2982 0.3967
O12 0.6899 0.8389 0.3925
O13 0.8150 0.1398 0.8982
O14 0.8452 0.6741 0.8955
O15 0.9628 0.4645 0.1629
O16 0.9956 0.9870 0.6885
# Density   4.215 Mg/m³
# Crystal system   triclinic

=====

Most stable one: model two, least stable one: model one.